VASP calculation (GGA+U) on a relaxed structure of Li5Fe3Sb2O10.

Lattice parameters (Å, degrees): 6.929 8.176 8.270 95.33 65.48 91.33
Positions (direct):
Li 0.000 0.002 0.501
Li 0.512 0.504 0.494
Li 0.160 0.332 0.400
Li 0.654 0.843 0.413
Li 0.837 0.670 0.597
Li 0.336 0.178 0.595
Li 0.544 0.953 0.802
Li 0.056 0.439 0.809
Li 0.461 0.057 0.179
Li 0.952 0.542 0.212
Fe 0.752 0.752 0.006
Fe 0.910 0.100 0.885
Fe 0.595 0.402 0.110
Fe 0.250 0.250 0.996
Fe 0.399 0.596 0.896
Fe 0.098 0.898 0.107
Sb 0.712 0.303 0.704
Sb 0.206 0.798 0.700
Sb 0.295 0.699 0.303
Sb 0.795 0.200 0.295
O 0.227 0.004 0.846
O 0.713 0.533 0.880
O 0.787 0.987 0.141
O 0.275 0.487 0.169
O 0.576 0.168 0.941
O 0.088 0.682 0.926
O 0.414 0.818 0.077
O 0.911 0.315 0.067
O 0.696 0.076 0.513
O 0.183 0.594 0.541
O 0.310 0.904 0.463
O 0.822 0.414 0.422
O 0.105 0.137 0.236
O 0.594 0.641 0.260
O 0.905 0.861 0.749
O 0.345 0.376 0.778
O 0.023 0.220 0.656
O 0.502 0.732 0.659
O 0.004 0.770 0.338
O 0.498 0.263 0.335

Summary:
* energy with MP2020 corrections: -6.56 eV per atom
* E above lowest polymorph: 0.01 kcal/mol of atoms
* ΔH_f (0 K): -1.930 eV/atom


VASP calculation (GGA+U) on a relaxed structure of MgNi4O8.

Lattice parameters (Å, degrees): 2.893 7.898 7.455 96.41 78.82 79.43
Positions (direct):
Mg 0.367 0.621 0.651
Ni 0.666 0.184 0.488
Ni 0.146 0.488 0.225
Ni 0.854 0.433 0.864
Ni 0.343 0.861 0.458
O 0.802 0.789 0.612
O 0.475 0.369 0.687
O 0.518 0.614 0.355
O 0.163 0.292 0.385
O 0.162 0.080 0.600
O 0.772 0.361 0.100
O 0.862 0.948 0.331
O 0.236 0.592 0.942

Summary:
* energy with MP2020 corrections: -5.84 eV per atom
* E above lowest polymorph: 6.77 kcal/mol of atoms
* ΔH_f (0 K): -0.893 eV/atom


VASP calculation (GGA+U) on a relaxed structure of Li3FeP2O8.

Lattice parameters (Å, degrees): 4.880 9.085 14.797 76.37 90.00 90.00
Positions (direct):
Li 0.746 0.892 0.924
Li 0.754 0.892 0.424
Li 0.347 0.734 0.509
Li 0.153 0.734 0.009
Li 0.864 0.600 0.654
Li 0.636 0.600 0.154
Li 0.364 0.400 0.846
Li 0.136 0.400 0.346
Li 0.653 0.266 0.491
Li 0.847 0.266 0.991
Li 0.246 0.108 0.576
Li 0.254 0.108 0.076
Fe 0.209 0.811 0.793
Fe 0.291 0.811 0.293
Fe 0.709 0.189 0.707
Fe 0.791 0.189 0.207
P 0.750 0.932 0.628
P 0.750 0.932 0.128
P 0.774 0.594 0.857
P 0.726 0.594 0.357
P 0.274 0.406 0.643
P 0.226 0.406 0.143
P 0.250 0.068 0.872
P 0.250 0.068 0.372
O 0.526 0.967 0.697
O 0.974 0.967 0.197
O 0.355 0.902 0.916
O 0.145 0.902 0.416
O 0.638 0.849 0.558
O 0.862 0.849 0.058
O 0.998 0.840 0.677
O 0.502 0.840 0.177
O 0.503 0.673 0.814
O 0.931 0.717 0.898
O 0.997 0.673 0.314
O 0.569 0.717 0.398
O 0.188 0.551 0.574
O 0.312 0.551 0.074
O 0.975 0.564 0.784
O 0.475 0.436 0.716
O 0.525 0.564 0.284
O 0.025 0.436 0.216
O 0.688 0.449 0.926
O 0.812 0.449 0.426
O 0.431 0.283 0.602
O 0.003 0.327 0.686
O 0.069 0.283 0.102
O 0.497 0.327 0.186
O 0.498 0.160 0.823
O 0.002 0.160 0.323
O 0.138 0.151 0.942
O 0.362 0.151 0.442
O 0.855 0.098 0.584
O 0.645 0.098 0.084
O 0.026 0.033 0.803
O 0.474 0.033 0.303

Summary:
* energy with MP2020 corrections: -7.10 eV per atom
* E above lowest polymorph: 1.77 kcal/mol of atoms
* ΔH_f (0 K): -2.485 eV/atom